A plane-wave DFT calculation with PBE with a Hubbard U was carried out for a relaxed structure of FeO2.

Cell and atoms, written as POSCAR:
```
FeO2
1.0
4.711 2.216 1.338
0.899 1.298 5.138
-1.763 -4.241 -2.793
Fe O
2 4
Direct
0.000 0.000 0.000
0.750 0.250 0.500
0.542 0.042 0.500
0.208 0.208 0.000
0.792 0.792 0.000
0.958 0.458 0.500
```

Values from the calculation:
The energy of formation from the pure elements comes out at -1.255 eV per atom.